Compound: Gd6Mg23C
Source: the Materials Project
Functional: PBE-GGA
Structure: optimized geometry

The structure in CIF format:
```
data_Gd6Mg23C
_space_group_name_H-M_alt 'F m -3 m'
_space_group_IT_number 225
_space_group_name_Hall '-F 4 2 3'
_cell_length_a 14.255
_cell_length_b 14.255
_cell_length_c 14.255
_cell_angle_alpha 90.00
_cell_angle_beta 90.00
_cell_angle_gamma 90.00
loop_
_atom_site_label
_atom_site_type_symbol
_atom_site_fract_x
_atom_site_fract_y
_atom_site_fract_z
Gd1 Gd 0.000 0.000 0.180
Mg1 Mg 0.000 0.000 0.500
Mg2 Mg 0.000 0.250 0.250
Mg3 Mg 0.120 0.120 0.380
Mg4 Mg 0.169 0.169 0.169
C1 C 0.000 0.000 0.000
```

Calculated values
Calculated total energy (eV/atom): -4.44
V (Å³/f.u.): 724


Compound: Gd3Mn2C6
Source: the Materials Project
Functional: PBE-GGA
Structure: optimized geometry

The structure in CIF format:
```
data_Gd3Mn2C6
_space_group_name_H-M_alt 'P 63/m'
_space_group_IT_number 176
_space_group_name_Hall '-P 6c'
_cell_length_a 8.0870
_cell_length_b 8.0870
_cell_length_c 5.0723
_cell_angle_alpha 90.00
_cell_angle_beta 90.00
_cell_angle_gamma 120.00
loop_
_atom_site_label
_atom_site_type_symbol
_atom_site_fract_x
_atom_site_fract_y
_atom_site_fract_z
Gd1 Gd 0.0682 0.3796 0.2500
Mn1 Mn 0.0000 0.0000 0.0000
Mn2 Mn 0.3333 0.6667 0.7500
C1 C 0.0404 0.2245 0.7500
C2 C 0.1371 0.4202 0.7500
```

Calculated values
Calculated total energy (eV/atom): -10.80
V (Å³/f.u.): 144


Compound: Gd2Mo2C3
Source: the Materials Project
Functional: PBE-GGA
Structure: optimized geometry

The structure in CIF format:
```
data_Gd2Mo2C3
_space_group_name_H-M_alt 'C 1 2/m 1'
_space_group_IT_number 12
_cell_length_a 11.895
_cell_length_b 3.373
_cell_length_c 5.785
_cell_angle_alpha 90.00
_cell_angle_beta 113.28
_cell_angle_gamma 90.00
loop_
_space_group_symop_operation_xyz
'x,y,z'
'-x,-y,-z'
'-x,y,-z'
'x,-y,z'
'x+1/2,y+1/2,z'
'-x+1/2,-y+1/2,-z'
'-x+1/2,y+1/2,-z'
'x+1/2,-y+1/2,z'
loop_
_atom_site_label
_atom_site_type_symbol
_atom_site_fract_x
_atom_site_fract_y
_atom_site_fract_z
Gd1 Gd 0.109 0.000 0.321
Mo1 Mo 0.158 0.500 0.825
C1 C 0.000 0.500 0.500
C2 C 0.250 0.000 0.769
```

Calculated values
Calculated total energy (eV/atom): -11.38
V (Å³/f.u.): 107


Compound: GdC6N9
Source: the Materials Project
Functional: PBE-GGA
Structure: optimized geometry

The structure in CIF format:
```
data_GdC6N9
_space_group_name_H-M_alt 'C m c m'
_space_group_IT_number 63
_space_group_name_Hall '-C 2c 2'
_cell_length_a 7.824
_cell_length_b 11.587
_cell_length_c 10.295
_cell_angle_alpha 90.00
_cell_angle_beta 90.00
_cell_angle_gamma 90.00
loop_
_atom_site_label
_atom_site_type_symbol
_atom_site_fract_x
_atom_site_fract_y
_atom_site_fract_z
Gd1 Gd 0.000 0.215 0.250
C1 C 0.142 0.084 0.750
C2 C 0.144 0.353 0.552
N1 N 0.000 0.025 0.750
N2 N 0.000 0.341 0.010
N3 N 0.221 0.138 0.101
N4 N 0.226 0.367 0.250
```

Calculated values
Calculated total energy (eV/atom): -9.02
V (Å³/f.u.): 233
Energy with MP2020 corrections (eV/atom): -9.22


Compound: Gd2Si4CN6
Source: the Materials Project
Functional: PBE-GGA
Structure: optimized geometry

The structure in CIF format:
```
data_Gd2Si4CN6
_space_group_name_H-M_alt 'P 1 21/c 1'
_space_group_IT_number 14
_cell_length_a 6.000
_cell_length_b 10.014
_cell_length_c 12.016
_cell_angle_alpha 90.00
_cell_angle_beta 119.57
_cell_angle_gamma 90.00
loop_
_space_group_symop_operation_xyz
'x,y,z'
'-x,-y,-z'
'-x,y+1/2,-z+1/2'
'x,-y+1/2,z+1/2'
loop_
_atom_site_label
_atom_site_type_symbol
_atom_site_fract_x
_atom_site_fract_y
_atom_site_fract_z
Gd1 Gd 0.162 0.084 0.419
Gd2 Gd 0.168 0.065 0.905
Si1 Si 0.177 0.228 0.659
Si2 Si 0.299 0.707 0.823
Si3 Si 0.334 0.713 0.579
Si4 Si 0.494 0.519 0.251
C1 C 0.477 0.707 0.248
N1 N 0.004 0.211 0.002
N2 N 0.018 0.236 0.245
N3 N 0.202 0.054 0.639
N4 N 0.264 0.538 0.778
N5 N 0.440 0.546 0.601
N6 N 0.454 0.712 0.989
```

Calculated values
Calculated total energy (eV/atom): -9.57
V (Å³/f.u.): 157
Energy with MP2020 corrections (eV/atom): -9.74


Compound: Na3GdC3O9
Source: the Materials Project
Functional: PBE-GGA
Structure: optimized geometry

The structure in CIF format:
```
data_Na3GdC3O9
_space_group_name_H-M_alt 'A m a 2'
_space_group_IT_number 40
_cell_length_a 10.037
_cell_length_b 11.094
_cell_length_c 7.187
_cell_angle_alpha 90.00
_cell_angle_beta 90.00
_cell_angle_gamma 90.00
loop_
_space_group_symop_operation_xyz
'x,y,z'
'-x,-y,z'
'-x+1/2,y,z'
'x+1/2,-y,z'
'x,y+1/2,z+1/2'
'-x,-y+1/2,z+1/2'
'-x+1/2,y+1/2,z+1/2'
'x+1/2,-y+1/2,z+1/2'
loop_
_atom_site_label
_atom_site_type_symbol
_atom_site_fract_x
_atom_site_fract_y
_atom_site_fract_z
Na1 Na 0.000 0.000 0.000
Na2 Na 0.250 0.018 0.681
Na3 Na 0.250 0.295 0.566
Gd1 Gd 0.250 0.228 0.068
C1 C 0.001 0.295 0.242
C2 C 0.250 0.011 0.295
O1 O 0.011 0.195 0.152
O2 O 0.109 0.359 0.268
O3 O 0.113 0.165 0.800
O4 O 0.250 0.009 0.112
O5 O 0.250 0.116 0.375
O6 O 0.250 0.412 0.889
```

Calculated values
Calculated total energy (eV/atom): -7.63
V (Å³/f.u.): 200
Energy with MP2020 corrections (eV/atom): -8.02


Question: The lowest calculated total energy belongs to which entry?
Answer: Gd2Mo2C3


Question: Among the records above, which one has the highest calculated total energy?
Answer: Gd6Mg23C


Question: The highest calculated total energy belongs to which entry?
Answer: Gd6Mg23C